(1)
Entry from Materials Project: crystalline ThSi2Tc2 at its relaxed geometry (PBE-GGA).

Space-group type: I4/mmm
Calculated formation energy (eV/f.u.): -3.4

Geometry as POSCAR:
```
ThSi2Tc2
1.0
-2.133 2.133 4.928
2.133 -2.133 4.928
2.133 2.133 -4.928
Th Si Tc
1 2 2
direct
0.000 0.000 0.000 Th
0.370 0.370 0.000 Si
0.630 0.630 0.000 Si
0.250 0.750 0.500 Tc
0.750 0.250 0.500 Tc
```

***

(2)
Entry from Materials Project: crystalline Tl3SiTe3 at its relaxed geometry (PBE-GGA).

Space-group type: P-1
Calculated formation energy (eV/f.u.): -3.2
Corrected total energy (MP2020 scheme) (eV for the cell shown): -100.496

Geometry as POSCAR:
```
Tl3SiTe3
1.0
9.661 0.000 0.000
1.885 9.756 0.000
1.183 -0.081 10.654
Tl Si Te
12 4 12
direct
0.016 0.373 0.355 Tl
0.143 0.226 0.914 Tl
0.186 0.713 0.241 Tl
0.306 0.845 0.842 Tl
0.396 0.040 0.354 Tl
0.401 0.435 0.659 Tl
0.599 0.565 0.341 Tl
0.604 0.960 0.646 Tl
0.694 0.155 0.158 Tl
0.814 0.287 0.759 Tl
0.857 0.774 0.086 Tl
0.984 0.627 0.645 Tl
0.074 0.983 0.581 Si
0.413 0.430 0.013 Si
0.587 0.570 0.987 Si
0.926 0.017 0.419 Si
0.077 0.065 0.221 Te
0.178 0.199 0.593 Te
0.192 0.556 0.923 Te
0.275 0.779 0.528 Te
0.374 0.381 0.246 Te
0.499 0.791 0.108 Te
0.501 0.209 0.892 Te
0.626 0.619 0.754 Te
0.725 0.221 0.472 Te
0.808 0.444 0.077 Te
0.822 0.801 0.407 Te
0.923 0.935 0.779 Te
```

***

- Which formula does entry 1 have?
  ThSi2Tc2